Entry from the Materials Project: a geometry-optimized Ca2SnHg structure (meta-GGA r2SCAN).

**Total energy**: -22.7764 eV per atom

Cell: 5.4141 5.4141 5.4141 Å, 60.00 60.00 60.00°
Closest atoms and distances in Å follow each position.
Fractional coordinates of all 4 atoms:
1 Ca 0.2500 0.2500 0.2500  4 Hg 3.32, 4 Sn 3.32
2 Ca 0.7500 0.7500 0.7500  4 Hg 3.32, 4 Sn 3.32
3 Sn 0.0000 0.0000 0.0000  8 Ca 3.32
4 Hg 0.5000 0.5000 0.5000  8 Ca 3.32

---

Entry from the Materials Project: a geometry-optimized SrCaHg2 structure (meta-GGA r2SCAN).

**Total energy**: -30.7950 eV per atom

Cell: 5.4797 5.4797 5.4797 Å, 60.00 60.00 60.00°
Closest atoms and distances in Å follow each position.
Fractional coordinates of all 4 atoms:
1 Sr 0.0000 0.0000 0.0000  8 Hg 3.36
2 Ca 0.5000 0.5000 0.5000  8 Hg 3.36
3 Hg 0.2500 0.2500 0.2500  4 Ca 3.36, 4 Sr 3.36
4 Hg 0.7500 0.7500 0.7500  4 Ca 3.36, 4 Sr 3.36

---

Entry from the Materials Project: a geometry-optimized CaTbHg2 structure (meta-GGA r2SCAN).

**Total energy**: -34.8594 eV per atom

Cell: 5.2597 5.2597 5.2597 Å, 60.00 60.00 60.00°
Closest atoms and distances in Å follow each position.
Fractional coordinates of all 4 atoms:
1 Ca 0.0000 0.0000 0.0000  8 Hg 3.22
2 Tb 0.5000 0.5000 0.5000  8 Hg 3.22
3 Hg 0.2500 0.2500 0.2500  4 Tb 3.22, 4 Ca 3.22
4 Hg 0.7500 0.7500 0.7500  4 Tb 3.22, 4 Ca 3.22

---

Entry from the Materials Project: a geometry-optimized CaI2 structure (meta-GGA r2SCAN).

**Total energy**: -20.5785 eV per atom

Cell: 4.5290 4.5290 7.2098 Å, 90.00 90.00 120.00°
Closest atoms and distances in Å follow each position.
Fractional coordinates of all 3 atoms:
1 Ca 0.0000 0.0000 0.0000  6 I 3.15
2 I 0.3333 0.6667 0.2443  3 Ca 3.15
3 I 0.6667 0.3333 0.7557  3 Ca 3.15

---

Entry from the Materials Project: a geometry-optimized KCaI3 structure (meta-GGA r2SCAN).

**Total energy**: -19.1469 eV per atom

Cell: 7.9366 7.9366 11.6910 Å, 90.00 90.00 146.33°
Closest atoms and distances in Å follow each position.
Fractional coordinates of all 10 atoms:
1 K 0.2495 0.7505 0.7500  6 I 3.52-3.65
2 K 0.7505 0.2495 0.2500  6 I 3.52-3.65
3 Ca 0.0000 0.0000 0.0000  6 I 3.14-3.16
4 Ca 0.0000 0.0000 0.5000  6 I 3.14-3.16
5 I 0.0748 0.9252 0.2500  2 Ca 3.14
6 I 0.3641 0.6359 0.0570  2 Ca 3.16
7 I 0.3641 0.6359 0.4430  2 Ca 3.16
8 I 0.6359 0.3641 0.5570  2 Ca 3.16
9 I 0.6359 0.3641 0.9430  2 Ca 3.16
10 I 0.9252 0.0748 0.7500  2 Ca 3.14

---

Entry from the Materials Project: a geometry-optimized Ca3PI3 structure (meta-GGA r2SCAN).

**Total energy**: -16.5719 eV per atom

Cell: 10.7241 10.7241 10.7241 Å, 109.47 109.47 109.47°
Closest atoms and distances in Å follow each position.
Fractional coordinates of all 28 atoms:
1 Ca 0.0178 0.0356 0.2678  2 P 2.88, 2 I 3.16
2 Ca 0.0178 0.4822 0.7500  2 P 2.88, 2 I 3.16
3 Ca 0.0356 0.2678 0.0178  2 P 2.88, 2 I 3.16
4 Ca 0.2322 0.2678 0.7500  2 P 2.88, 2 I 3.16
5 Ca 0.2322 0.4644 0.4822  2 P 2.88, 2 I 3.16
6 Ca 0.2678 0.0178 0.0356  2 P 2.88, 2 I 3.16
7 Ca 0.2678 0.7500 0.2322  2 P 2.88, 2 I 3.16
8 Ca 0.4644 0.4822 0.2322  2 P 2.88, 2 I 3.16
9 Ca 0.4822 0.2322 0.4644  2 P 2.88, 2 I 3.16
10 Ca 0.4822 0.7500 0.0178  2 P 2.88, 2 I 3.16
11 Ca 0.7500 0.0178 0.4822  2 P 2.88, 2 I 3.16
12 Ca 0.7500 0.2322 0.2678  2 P 2.88, 2 I 3.16
13 P 0.0000 0.2500 0.5000  6 Ca 2.88
14 P 0.2500 0.2500 0.2500  6 Ca 2.88
15 P 0.2500 0.5000 0.0000  6 Ca 2.88
16 P 0.5000 0.0000 0.2500  6 Ca 2.88
17 I 0.2500 0.7533 0.7467  4 Ca 3.16-3.33
18 I 0.2500 0.9967 0.5033  4 Ca 3.16-3.33
19 I 0.5033 0.2500 0.9967  4 Ca 3.16-3.33
20 I 0.5033 0.7533 0.5067  4 Ca 3.16-3.33
21 I 0.5067 0.5033 0.7533  4 Ca 3.16-3.33
22 I 0.7467 0.2500 0.7533  4 Ca 3.16-3.33
23 I 0.7467 0.9967 0.9933  4 Ca 3.16-3.33
24 I 0.7533 0.5067 0.5033  4 Ca 3.16-3.33
25 I 0.7533 0.7467 0.2500  4 Ca 3.16-3.33
26 I 0.9933 0.7467 0.9967  4 Ca 3.16-3.33
27 I 0.9967 0.5033 0.2500  4 Ca 3.16-3.33
28 I 0.9967 0.9933 0.7467  4 Ca 3.16-3.33

---

Entry from the Materials Project: a geometry-optimized Ca2PI structure (meta-GGA r2SCAN).

**Total energy**: -13.5325 eV per atom

Cell: 7.8284 7.8284 7.8284 Å, 31.97 31.97 31.97°
Closest atoms and distances in Å follow each position.
Fractional coordinates of all 4 atoms:
1 Ca 0.2299 0.2299 0.2299  3 P 2.86
2 Ca 0.7701 0.7701 0.7701  3 P 2.86
3 P 0.5000 0.5000 0.5000  6 Ca 2.86
4 I 0.0000 0.0000 0.0000  6 Ca 3.39

---

Entry from the Materials Project: a geometry-optimized CaPbI6 structure (meta-GGA r2SCAN).

**Distance to the lowest polymorph of the same formula**: 0.013 eV per atom

Cell: 11.7954 11.7956 14.7072 Å, 102.79 102.76 116.60°
Closest atoms and distances in Å follow each position.
Fractional coordinates of all 32 atoms:
1 Ca 0.0000 0.0000 0.0000  5 I 3.10-3.15
2 Ca 0.0672 0.2499 0.3141  5 I 3.09-3.15
3 Ca 0.1591 0.8399 0.4992  5 I 3.09-3.15
4 Ca 0.4083 0.9076 0.8138  5 I 3.09-3.15
5 Pb 0.4293 0.7681 0.4030  4 I 2.99-3.29
6 Pb 0.4322 0.2709 0.4106  4 I 2.99-3.29
7 Pb 0.4317 0.2736 0.9111  4 I 2.99-3.29
8 Pb 0.9280 0.2704 0.9031  4 I 2.99-3.29
9 I 0.0212 0.7635 0.8805  1 I 2.92, 1 Ca 3.10
10 I 0.1309 0.0283 0.2193  2 Ca 3.12-3.15, 1 Pb 3.41
11 I 0.1362 0.6640 0.2935  1 Pb 2.99, 1 Ca 3.14
12 I 0.1894 0.9738 0.7186  2 Ca 3.12-3.15, 1 Pb 3.41
13 I 0.2139 0.2838 0.0032  1 Ca 3.14, 2 Pb 3.19-3.29
14 I 0.2480 0.2772 0.5194  1 Pb 2.99, 1 Ca 3.14
15 I 0.2608 0.5703 0.8295  2 I 2.92-2.96
16 I 0.3202 0.7158 0.5947  2 Ca 3.13-3.15, 1 Pb 3.41
17 I 0.3485 0.4593 0.3110  1 Ca 3.15, 2 Pb 3.19-3.29
18 I 0.4382 0.0895 0.0201  1 Pb 2.99, 1 Ca 3.15
19 I 0.4437 0.0546 0.5040  1 Ca 3.14, 2 Pb 3.19-3.29
20 I 0.5069 0.8119 0.2182  1 I 2.96, 1 Pb 3.13
21 I 0.5471 0.7884 0.9314  1 I 2.92, 1 Ca 3.09
22 I 0.6190 0.1886 0.8108  1 Ca 3.15, 2 Pb 3.18-3.29
23 I 0.6607 0.5366 0.0946  1 I 2.96, 1 Pb 3.13
24 I 0.6940 0.4990 0.5958  1 I 2.96, 1 Pb 3.13
25 I 0.7280 0.1004 0.3298  2 I 2.92-2.96
26 I 0.8055 0.6772 0.4852  2 I 2.92-2.96
27 I 0.8253 0.9775 0.7942  1 Pb 2.99, 1 Ca 3.14
28 I 0.8373 0.6467 0.9825  2 I 2.92-2.96
29 I 0.8754 0.1611 0.0950  2 Ca 3.12-3.15, 1 Pb 3.42
30 I 0.9211 0.8596 0.3817  1 I 2.92, 1 Ca 3.09
31 I 0.9462 0.3865 0.4321  1 I 2.92, 1 Ca 3.09
32 I 0.9715 0.3500 0.7187  1 I 2.96, 1 Pb 3.13

---

Entry from the Materials Project: a geometry-optimized CaPbI6 structure (meta-GGA r2SCAN).

**Distance to the lowest polymorph of the same formula**: 0.000 eV per atom

Cell: 12.2531 12.2552 12.7999 Å, 105.20 105.01 117.09°
Closest atoms and distances in Å follow each position.
Fractional coordinates of all 32 atoms:
1 Ca 0.0000 0.0000 0.0000  6 I 3.05-3.27
2 Ca 0.0145 0.5143 0.0291  6 I 3.05-3.26
3 Ca 0.4902 0.0401 0.5292  6 I 3.05-3.26
4 Ca 0.9752 0.0259 0.5004  6 I 3.05-3.26
5 Pb 0.0808 0.7104 0.4582  4 I 3.07-3.30
6 Pb 0.6371 0.7667 0.5709  4 I 3.07-3.31
7 Pb 0.6852 0.1048 0.9569  4 I 3.08-3.31
8 Pb 0.7418 0.6618 0.0716  4 I 3.07-3.30
9 I 0.0748 0.3254 0.5817  1 I 2.92, 1 Ca 3.05
10 I 0.0892 0.7002 0.7030  1 I 2.94, 1 Pb 3.14
11 I 0.2281 0.7798 0.2808  2 Ca 3.19-3.26, 1 Pb 3.30
12 I 0.2323 0.5313 0.9479  1 I 2.92, 1 Ca 3.05
13 I 0.2411 0.0235 0.5885  1 Pb 3.07, 2 Ca 3.18-3.26
14 I 0.2416 0.4137 0.4560  2 I 2.92-2.94
15 I 0.2989 0.0984 0.0802  1 I 2.92, 1 Ca 3.05
16 I 0.3896 0.2660 0.9556  2 I 2.92-2.94
17 I 0.4027 0.5109 0.3264  1 I 2.94, 1 Pb 3.14
18 I 0.4297 0.8308 0.6345  1 Ca 3.09, 1 Pb 3.21
19 I 0.4465 0.8238 0.0727  2 I 2.92-2.94
20 I 0.4885 0.4256 0.8258  1 I 2.94, 1 Pb 3.15
21 I 0.5072 0.2569 0.4463  1 I 2.92, 1 Ca 3.05
22 I 0.6661 0.9475 0.4393  1 Pb 3.07, 2 Ca 3.18-3.26
23 I 0.6737 0.1137 0.2014  1 I 2.94, 1 Pb 3.14
24 I 0.6856 0.8345 0.8935  1 Ca 3.09, 1 Pb 3.20
25 I 0.7577 0.2522 0.7797  2 Ca 3.19-3.26, 1 Pb 3.31
26 I 0.7993 0.4719 0.5720  2 I 2.92-2.94
27 I 0.8049 0.4541 0.1335  1 Ca 3.08, 1 Pb 3.20
28 I 0.8105 0.7112 0.3947  1 Ca 3.09, 1 Pb 3.21
29 I 0.9229 0.6908 0.9396  1 Pb 3.07, 2 Ca 3.18-3.27
30 I 0.9625 0.0137 0.7479  2 Ca 3.20-3.25, 1 Pb 3.31
31 I 0.9880 0.9875 0.2479  2 Ca 3.20-3.25, 1 Pb 3.30
32 I 0.9981 0.2665 0.0899  1 Pb 3.08, 2 Ca 3.18-3.26

---

Entry from the Materials Project: a geometry-optimized SrCaI4 structure (meta-GGA r2SCAN).

**Total energy**: -21.9645 eV per atom

Cell: 7.2807 4.6621 8.1094 Å, 90.00 90.23 90.00°
Closest atoms and distances in Å follow each position.
Fractional coordinates of all 6 atoms:
1 Sr 0.0000 0.0000 0.0000  6 I 3.29
2 Ca 0.0000 0.5000 0.5000  6 I 3.17
3 I 0.2391 0.0000 0.3445  2 Ca 3.17, 1 Sr 3.29
4 I 0.2491 0.5000 0.8216  1 Ca 3.17, 2 Sr 3.29
5 I 0.7509 0.5000 0.1784  1 Ca 3.17, 2 Sr 3.29
6 I 0.7609 0.0000 0.6555  2 Ca 3.17, 1 Sr 3.29

---

Entry from the Materials Project: a geometry-optimized CaTlI3 structure (meta-GGA r2SCAN).

**Total energy**: -28.2004 eV per atom

Cell: 7.9253 7.9253 11.6518 Å, 90.00 90.00 146.42°
Closest atoms and distances in Å follow each position.
Fractional coordinates of all 10 atoms:
1 Ca 0.0000 0.0000 0.0000  6 I 3.13-3.16
2 Ca 0.0000 0.0000 0.5000  6 I 3.13-3.16
3 Tl 0.2554 0.7446 0.7500  6 I 3.45-3.69
4 Tl 0.7446 0.2554 0.2500  6 I 3.45-3.69
5 I 0.0749 0.9251 0.2500  2 Ca 3.13, 2 Tl 3.45
6 I 0.3632 0.6368 0.0555  2 Ca 3.16
7 I 0.3632 0.6368 0.4445  2 Ca 3.16
8 I 0.6368 0.3632 0.5555  2 Ca 3.16
9 I 0.6368 0.3632 0.9445  2 Ca 3.16
10 I 0.9251 0.0749 0.7500  2 Ca 3.13, 2 Tl 3.45

---

Entry from the Materials Project: a geometry-optimized CaUI6 structure (meta-GGA r2SCAN).

**Total energy**: -30.6647 eV per atom

Cell: 7.5962 7.5962 14.0770 Å, 90.09 90.09 120.34°
Closest atoms and distances in Å follow each position.
Fractional coordinates of all 16 atoms:
1 Ca 0.1687 0.8313 0.7500  6 I 3.15-3.16
2 Ca 0.8313 0.1687 0.2500  6 I 3.15-3.16
3 U 0.5000 0.5000 0.0000  6 I 3.02
4 U 0.5000 0.5000 0.5000  6 I 3.02
5 I 0.1673 0.4907 0.8782  1 U 3.02, 1 Ca 3.15
6 I 0.1722 0.1734 0.6228  1 U 3.02, 1 Ca 3.15
7 I 0.1734 0.1722 0.1228  1 U 3.02, 1 Ca 3.15
8 I 0.1771 0.5100 0.3786  1 U 3.02, 1 Ca 3.16
9 I 0.4900 0.8229 0.1214  1 U 3.02, 1 Ca 3.16
10 I 0.4907 0.1673 0.3782  1 U 3.02, 1 Ca 3.15
11 I 0.5093 0.8327 0.6218  1 U 3.02, 1 Ca 3.15
12 I 0.5100 0.1771 0.8786  1 U 3.02, 1 Ca 3.16
13 I 0.8229 0.4900 0.6214  1 U 3.02, 1 Ca 3.16
14 I 0.8266 0.8278 0.8772  1 U 3.02, 1 Ca 3.15
15 I 0.8278 0.8266 0.3772  1 U 3.02, 1 Ca 3.15
16 I 0.8327 0.5093 0.1218  1 U 3.02, 1 Ca 3.15